(1)
A plane-wave DFT calculation with PBE was carried out for an optimized crystal structure of VCo3.

a = 4.992 Å, b = 4.992 Å, c = 4.009 Å
α = 90.00°, β = 90.00°, γ = 120.00°
Atoms (fractional coordinates):
V 0.333 0.667 0.250
V 0.667 0.333 0.750
Co 0.163 0.326 0.750
Co 0.163 0.837 0.750
Co 0.326 0.163 0.250
Co 0.674 0.837 0.750
Co 0.837 0.163 0.250
Co 0.837 0.674 0.250

Results
* SG: No. 194
* crystal system: hexagonal
* theoretical density: 8.74 g/cm³
* ΔH_f (0 K): -0.166 eV/atom

---

(2)
A plane-wave DFT calculation with PBE was carried out for an optimized crystal structure of BaMg14Zn.

a = 10.530 Å, b = 6.669 Å, c = 6.669 Å
α = 58.07°, β = 90.00°, γ = 90.00°
Atoms (fractional coordinates):
Ba 0.000 0.000 0.000
Mg 0.000 0.009 0.491
Mg 0.000 0.491 0.009
Mg 0.235 0.645 0.645
Mg 0.263 0.156 0.640
Mg 0.263 0.640 0.156
Mg 0.268 0.159 0.159
Mg 0.500 0.489 0.489
Mg 0.500 0.492 0.980
Mg 0.500 0.980 0.492
Mg 0.500 0.986 0.986
Mg 0.732 0.159 0.159
Mg 0.737 0.156 0.640
Mg 0.737 0.640 0.156
Mg 0.765 0.645 0.645
Zn 0.000 0.456 0.456

Results
* SG: No. 38
* magnetic moment: 0.00 Bohr magnetons per cell
* crystal system: orthorhombic
* theoretical density: 2.27 g/cm³
* ΔH_f (0 K): 0.057 eV/atom

---

(3)
A plane-wave DFT calculation with PBE was carried out for an optimized crystal structure of SrH4IrO2F6.

a = 6.614 Å, b = 10.197 Å, c = 11.770 Å
α = 90.00°, β = 110.11°, γ = 90.00°
Atoms (fractional coordinates):
Sr 0.248 0.208 0.452
Sr 0.248 0.292 0.952
Sr 0.752 0.708 0.048
Sr 0.752 0.792 0.548
H 0.064 0.067 0.135
H 0.064 0.433 0.635
H 0.104 0.720 0.928
H 0.104 0.780 0.428
H 0.160 0.023 0.151
H 0.160 0.477 0.651
H 0.212 0.690 0.543
H 0.212 0.810 0.043
H 0.788 0.190 0.957
H 0.788 0.310 0.457
H 0.840 0.523 0.349
H 0.840 0.977 0.849
H 0.896 0.220 0.572
H 0.896 0.280 0.072
H 0.936 0.567 0.365
H 0.936 0.933 0.865
Ir 0.342 0.539 0.261
Ir 0.342 0.961 0.761
Ir 0.658 0.039 0.239
Ir 0.658 0.461 0.739
O 0.083 0.740 0.498
O 0.083 0.760 0.998
O 0.425 0.533 0.961
O 0.425 0.967 0.461
O 0.575 0.033 0.539
O 0.575 0.467 0.039
O 0.917 0.240 0.002
O 0.917 0.260 0.502
F 0.095 0.657 0.226
F 0.095 0.843 0.726
F 0.193 0.063 0.612
F 0.193 0.437 0.112
F 0.204 0.084 0.840
F 0.204 0.416 0.340
F 0.428 0.586 0.701
F 0.428 0.914 0.201
F 0.481 0.642 0.412
F 0.481 0.858 0.912
F 0.490 0.654 0.183
F 0.490 0.846 0.683
F 0.510 0.154 0.317
F 0.510 0.346 0.817
F 0.519 0.142 0.088
F 0.519 0.358 0.588
F 0.572 0.086 0.799
F 0.572 0.414 0.299
F 0.796 0.584 0.660
F 0.796 0.916 0.160
F 0.807 0.563 0.888
F 0.807 0.937 0.388
F 0.905 0.157 0.274
F 0.905 0.343 0.774

Results
* SG: No. 14
* magnetic moment: 8.00 Bohr magnetons per cell
* crystal system: monoclinic
* theoretical density: 3.83 g/cm³
* ΔH_f (0 K): -1.813 eV/atom